No. 1
# PBE-GGA Na6Nb4Si9Sn4S3O48, relaxed
data_Na6Nb4Si9Sn4S3O48
_chemical_formula_sum 'Na18 Nb12 Si27 Sn12 S9 O144'
_cell_length_a 8.947
_cell_length_b 15.527
_cell_length_c 22.829
_cell_angle_alpha 89.66
_cell_angle_beta 89.93
_cell_angle_gamma 89.93
_space_group_name_H-M_alt 'P 1'
_space_group_IT_number 1
loop_
_space_group_symop_operation_xyz
'x,y,z'
loop_
_atom_site_label
_atom_site_type_symbol
_atom_site_fract_x
_atom_site_fract_y
_atom_site_fract_z
Na1 Na 0.000 0.000 0.000
Na2 Na 0.001 0.651 0.670
Na3 Na 0.003 0.659 0.160
Na4 Na 0.017 0.320 0.326
Na5 Na 0.021 0.005 0.498
Na6 Na 0.025 0.326 0.835
Na7 Na 0.136 0.825 0.083
Na8 Na 0.387 0.324 0.584
Na9 Na 0.497 0.828 0.327
Na10 Na 0.500 0.497 0.003
Na11 Na 0.506 0.820 0.831
Na12 Na 0.517 0.158 0.163
Na13 Na 0.520 0.162 0.662
Na14 Na 0.524 0.497 0.498
Na15 Na 0.650 0.994 0.749
Na16 Na 0.652 0.321 0.086
Na17 Na 0.867 0.821 0.588
Na18 Na 0.875 0.492 0.241
Nb1 Nb 0.001 0.993 0.858
Nb2 Nb 0.002 0.319 0.692
Nb3 Nb 0.007 0.320 0.475
Nb4 Nb 0.025 0.992 0.344
Nb5 Nb 0.027 0.325 0.980
Nb6 Nb 0.030 0.656 0.808
Nb7 Nb 0.494 0.157 0.306
Nb8 Nb 0.499 0.491 0.845
Nb9 Nb 0.512 0.823 0.475
Nb10 Nb 0.517 0.822 0.975
Nb11 Nb 0.520 0.492 0.356
Nb12 Nb 0.522 0.819 0.191
Si1 Si 0.150 0.139 0.242
Si2 Si 0.152 0.179 0.584
Si3 Si 0.155 0.844 0.242
Si4 Si 0.156 0.800 0.916
Si5 Si 0.157 0.513 0.916
Si6 Si 0.221 0.159 0.914
Si7 Si 0.299 0.658 0.415
Si8 Si 0.306 0.323 0.085
Si9 Si 0.364 0.015 0.416
Si10 Si 0.369 0.300 0.417
Si11 Si 0.369 0.344 0.742
Si12 Si 0.371 0.680 0.084
Si13 Si 0.373 0.638 0.742
Si14 Si 0.647 0.014 0.913
Si15 Si 0.652 0.970 0.582
Si16 Si 0.656 0.346 0.247
Si17 Si 0.660 0.632 0.249
Si18 Si 0.662 0.676 0.578
Si19 Si 0.722 0.326 0.581
Si20 Si 0.722 0.992 0.250
Si21 Si 0.802 0.493 0.749
Si22 Si 0.803 0.826 0.080
Si23 Si 0.860 0.134 0.751
Si24 Si 0.864 0.176 0.078
Si25 Si 0.872 0.511 0.412
Si26 Si 0.874 0.471 0.082
Si27 Si 0.874 0.848 0.747
Sn1 Sn 0.003 0.318 0.181
Sn2 Sn 0.009 0.649 0.514
Sn3 Sn 0.019 0.659 0.310
Sn4 Sn 0.021 0.657 0.021
Sn5 Sn 0.504 0.157 0.521
Sn6 Sn 0.504 0.162 0.812
Sn7 Sn 0.506 0.156 0.016
Sn8 Sn 0.522 0.490 0.140
Sn9 Sn 0.530 0.494 0.644
Sn10 Sn 0.532 0.820 0.684
Sn11 Sn 0.995 0.996 0.644
Sn12 Sn 0.996 0.995 0.144
S1 S 0.154 0.469 0.581
S2 S 0.222 0.823 0.581
S3 S 0.225 0.491 0.247
S4 S 0.299 0.990 0.746
S5 S 0.371 0.967 0.081
S6 S 0.660 0.308 0.914
S7 S 0.723 0.655 0.914
S8 S 0.801 0.155 0.414
S9 S 0.867 0.807 0.415
O1 O 0.075 0.234 0.244
O2 O 0.078 0.750 0.251
O3 O 0.078 0.766 0.976
O4 O 0.080 0.418 0.920
O5 O 0.081 0.082 0.587
O6 O 0.082 0.228 0.525
O7 O 0.083 0.089 0.302
O8 O 0.085 0.887 0.183
O9 O 0.086 0.558 0.578
O10 O 0.088 0.561 0.857
O11 O 0.088 0.896 0.902
O12 O 0.092 0.429 0.634
O13 O 0.110 0.242 0.921
O14 O 0.113 0.241 0.640
O15 O 0.118 0.072 0.905
O16 O 0.118 0.419 0.527
O17 O 0.120 0.748 0.575
O18 O 0.121 0.739 0.860
O19 O 0.121 0.907 0.300
O20 O 0.124 0.569 0.250
O21 O 0.127 0.414 0.246
O22 O 0.129 0.903 0.583
O23 O 0.131 0.078 0.186
O24 O 0.139 0.573 0.973
O25 O 0.181 0.000 0.407
O26 O 0.185 0.309 0.424
O27 O 0.186 0.339 0.739
O28 O 0.189 0.681 0.081
O29 O 0.192 0.647 0.752
O30 O 0.198 0.683 0.359
O31 O 0.201 0.335 0.025
O32 O 0.203 0.305 0.142
O33 O 0.203 0.643 0.475
O34 O 0.204 0.972 0.083
O35 O 0.208 0.001 0.691
O36 O 0.208 0.982 0.799
O37 O 0.313 0.810 0.634
O38 O 0.315 0.502 0.194
O39 O 0.317 0.485 0.301
O40 O 0.318 0.182 0.856
O41 O 0.318 0.832 0.527
O42 O 0.319 0.139 0.972
O43 O 0.319 0.475 0.582
O44 O 0.333 0.148 0.252
O45 O 0.334 0.178 0.581
O46 O 0.338 0.839 0.240
O47 O 0.339 0.809 0.922
O48 O 0.340 0.500 0.905
O49 O 0.384 0.073 0.474
O50 O 0.394 0.579 0.685
O51 O 0.396 0.911 0.742
O52 O 0.401 0.067 0.748
O53 O 0.402 0.237 0.361
O54 O 0.403 0.407 0.800
O55 O 0.403 0.572 0.407
O56 O 0.404 0.916 0.027
O57 O 0.408 0.743 0.425
O58 O 0.408 0.744 0.139
O59 O 0.410 0.409 0.085
O60 O 0.417 0.240 0.076
O61 O 0.430 0.926 0.135
O62 O 0.433 0.397 0.403
O63 O 0.437 0.059 0.358
O64 O 0.438 0.054 0.078
O65 O 0.439 0.386 0.682
O66 O 0.439 0.732 0.025
O67 O 0.439 0.917 0.424
O68 O 0.442 0.736 0.741
O69 O 0.444 0.250 0.750
O70 O 0.444 0.590 0.801
O71 O 0.446 0.267 0.477
O72 O 0.448 0.587 0.086
O73 O 0.576 0.917 0.922
O74 O 0.579 0.051 0.852
O75 O 0.580 0.584 0.580
O76 O 0.581 0.930 0.643
O77 O 0.582 0.589 0.307
O78 O 0.583 0.381 0.186
O79 O 0.585 0.728 0.243
O80 O 0.587 0.066 0.575
O81 O 0.589 0.250 0.260
O82 O 0.589 0.395 0.907
O83 O 0.592 0.728 0.521
O84 O 0.594 0.270 0.968
O85 O 0.609 0.409 0.582
O86 O 0.610 0.904 0.528
O87 O 0.615 0.412 0.301
O88 O 0.616 0.076 0.262
O89 O 0.616 0.906 0.243
O90 O 0.620 0.239 0.577
O91 O 0.621 0.580 0.908
O92 O 0.624 0.735 0.918
O93 O 0.628 0.074 0.970
O94 O 0.632 0.254 0.861
O95 O 0.640 0.571 0.192
O96 O 0.652 0.739 0.636
O97 O 0.680 0.143 0.757
O98 O 0.682 0.168 0.072
O99 O 0.689 0.498 0.407
O100 O 0.689 0.848 0.746
O101 O 0.690 0.470 0.081
O102 O 0.692 0.477 0.806
O103 O 0.692 0.820 0.138
O104 O 0.693 0.837 0.023
O105 O 0.700 0.816 0.420
O106 O 0.709 0.169 0.362
O107 O 0.714 0.517 0.689
O108 O 0.715 0.143 0.469
O109 O 0.809 0.644 0.968
O110 O 0.812 0.015 0.191
O111 O 0.815 0.669 0.861
O112 O 0.824 0.318 0.919
O113 O 0.832 0.000 0.909
O114 O 0.832 0.320 0.638
O115 O 0.832 0.337 0.523
O116 O 0.832 0.977 0.307
O117 O 0.837 0.967 0.582
O118 O 0.841 0.347 0.246
O119 O 0.842 0.640 0.255
O120 O 0.849 0.674 0.572
O121 O 0.871 0.237 0.137
O122 O 0.872 0.075 0.692
O123 O 0.883 0.570 0.470
O124 O 0.894 0.753 0.364
O125 O 0.900 0.234 0.419
O126 O 0.903 0.079 0.409
O127 O 0.903 0.739 0.077
O128 O 0.908 0.407 0.742
O129 O 0.909 0.577 0.761
O130 O 0.912 0.914 0.800
O131 O 0.914 0.406 0.027
O132 O 0.915 0.909 0.082
O133 O 0.928 0.768 0.470
O134 O 0.933 0.894 0.410
O135 O 0.937 0.230 0.744
O136 O 0.938 0.228 0.022
O137 O 0.939 0.432 0.144
O138 O 0.939 0.751 0.757
O139 O 0.940 0.089 0.807
O140 O 0.944 0.566 0.076
O141 O 0.944 0.882 0.684
O142 O 0.946 0.415 0.422
O143 O 0.946 0.552 0.353
O144 O 0.952 0.084 0.081
# E in eV/atom: -7.1153
# E (MP2020) in eV per formula unit: -559.51

---

No. 2
# PBE-GGA Na2Nb4Si7Sn4S5O48, relaxed
data_Na2Nb4Si7Sn4S5O48
_chemical_formula_sum 'Na6 Nb12 Si21 Sn12 S15 O144'
_cell_length_a 8.868
_cell_length_b 15.393
_cell_length_c 23.060
_cell_angle_alpha 89.48
_cell_angle_beta 89.85
_cell_angle_gamma 89.93
_space_group_name_H-M_alt 'P 1'
_space_group_IT_number 1
loop_
_space_group_symop_operation_xyz
'x,y,z'
loop_
_atom_site_label
_atom_site_type_symbol
_atom_site_fract_x
_atom_site_fract_y
_atom_site_fract_z
Na1 Na 0.000 0.000 0.000
Na2 Na 0.006 0.331 0.342
Na3 Na 0.020 0.332 0.838
Na4 Na 0.508 0.828 0.341
Na5 Na 0.519 0.829 0.840
Na6 Na 0.526 0.499 0.505
Nb1 Nb 0.002 0.335 0.188
Nb2 Nb 0.018 0.011 0.364
Nb3 Nb 0.029 0.007 0.644
Nb4 Nb 0.030 0.677 0.024
Nb5 Nb 0.031 0.344 0.693
Nb6 Nb 0.495 0.509 0.861
Nb7 Nb 0.496 0.179 0.527
Nb8 Nb 0.496 0.507 0.144
Nb9 Nb 0.501 0.839 0.188
Nb10 Nb 0.523 0.835 0.689
Nb11 Nb 0.531 0.176 0.025
Nb12 Nb 0.994 0.675 0.527
Si1 Si 0.144 0.480 0.083
Si2 Si 0.160 0.147 0.754
Si3 Si 0.163 0.813 0.419
Si4 Si 0.223 0.844 0.084
Si5 Si 0.227 0.510 0.752
Si6 Si 0.231 0.178 0.417
Si7 Si 0.299 0.346 0.584
Si8 Si 0.300 0.678 0.916
Si9 Si 0.365 0.647 0.254
Si10 Si 0.366 0.315 0.919
Si11 Si 0.382 0.979 0.583
Si12 Si 0.655 0.981 0.083
Si13 Si 0.659 0.646 0.753
Si14 Si 0.661 0.317 0.419
Si15 Si 0.724 0.673 0.417
Si16 Si 0.725 0.342 0.084
Si17 Si 0.800 0.843 0.584
Si18 Si 0.804 0.173 0.916
Si19 Si 0.866 0.147 0.253
Si20 Si 0.866 0.480 0.585
Si21 Si 0.868 0.815 0.917
Sn1 Sn 0.005 0.007 0.858
Sn2 Sn 0.009 0.673 0.813
Sn3 Sn 0.010 0.338 0.483
Sn4 Sn 0.012 0.339 0.980
Sn5 Sn 0.021 0.676 0.317
Sn6 Sn 0.505 0.177 0.815
Sn7 Sn 0.512 0.837 0.482
Sn8 Sn 0.515 0.839 0.981
Sn9 Sn 0.518 0.505 0.650
Sn10 Sn 0.522 0.509 0.360
Sn11 Sn 0.523 0.178 0.316
Sn12 Sn 0.999 0.004 0.148
S1 S 0.157 0.192 0.086
S2 S 0.157 0.526 0.418
S3 S 0.158 0.862 0.751
S4 S 0.301 0.006 0.253
S5 S 0.367 0.361 0.252
S6 S 0.368 0.692 0.585
S7 S 0.369 0.027 0.918
S8 S 0.655 0.027 0.418
S9 S 0.658 0.693 0.086
S10 S 0.660 0.358 0.753
S11 S 0.722 0.005 0.751
S12 S 0.804 0.505 0.251
S13 S 0.866 0.193 0.586
S14 S 0.867 0.527 0.919
S15 S 0.867 0.859 0.253
O1 O 0.069 0.575 0.075
O2 O 0.077 0.104 0.810
O3 O 0.077 0.241 0.742
O4 O 0.078 0.909 0.405
O5 O 0.082 0.430 0.142
O6 O 0.084 0.229 0.034
O7 O 0.087 0.766 0.476
O8 O 0.088 0.777 0.755
O9 O 0.089 0.438 0.422
O10 O 0.091 0.105 0.094
O11 O 0.092 0.563 0.364
O12 O 0.092 0.906 0.699
O13 O 0.116 0.086 0.697
O14 O 0.118 0.259 0.424
O15 O 0.118 0.591 0.762
O16 O 0.119 0.756 0.077
O17 O 0.121 0.420 0.746
O18 O 0.121 0.929 0.096
O19 O 0.126 0.247 0.138
O20 O 0.127 0.088 0.408
O21 O 0.128 0.579 0.470
O22 O 0.137 0.418 0.028
O23 O 0.137 0.916 0.804
O24 O 0.146 0.758 0.360
O25 O 0.184 0.655 0.258
O26 O 0.185 0.330 0.925
O27 O 0.195 0.325 0.642
O28 O 0.196 0.659 0.976
O29 O 0.198 0.691 0.860
O30 O 0.198 0.994 0.597
O31 O 0.201 0.355 0.526
O32 O 0.202 0.018 0.914
O33 O 0.202 0.352 0.244
O34 O 0.203 0.686 0.578
O35 O 0.205 0.989 0.305
O36 O 0.211 0.017 0.200
O37 O 0.321 0.186 0.079
O38 O 0.324 0.517 0.413
O39 O 0.324 0.853 0.743
O40 O 0.325 0.518 0.693
O41 O 0.326 0.857 0.027
O42 O 0.327 0.186 0.357
O43 O 0.327 0.494 0.098
O44 O 0.331 0.824 0.142
O45 O 0.333 0.488 0.809
O46 O 0.334 0.158 0.474
O47 O 0.342 0.154 0.758
O48 O 0.342 0.832 0.424
O49 O 0.381 0.257 0.861
O50 O 0.389 0.920 0.527
O51 O 0.391 0.413 0.304
O52 O 0.398 0.079 0.970
O53 O 0.398 0.747 0.637
O54 O 0.399 0.925 0.247
O55 O 0.400 0.081 0.260
O56 O 0.401 0.588 0.911
O57 O 0.402 0.256 0.577
O58 O 0.409 0.760 0.925
O59 O 0.410 0.588 0.197
O60 O 0.411 0.427 0.591
O61 O 0.434 0.065 0.864
O62 O 0.435 0.404 0.200
O63 O 0.436 0.606 0.591
O64 O 0.437 0.274 0.255
O65 O 0.438 0.263 0.976
O66 O 0.438 0.939 0.922
O67 O 0.439 0.730 0.532
O68 O 0.444 0.931 0.642
O69 O 0.446 0.744 0.242
O70 O 0.449 0.605 0.310
O71 O 0.455 0.407 0.909
O72 O 0.456 0.075 0.574
O73 O 0.567 0.074 0.074
O74 O 0.570 0.410 0.413
O75 O 0.571 0.744 0.744
O76 O 0.580 0.598 0.809
O77 O 0.582 0.726 0.034
O78 O 0.585 0.930 0.142
O79 O 0.588 0.064 0.364
O80 O 0.588 0.265 0.475
O81 O 0.591 0.605 0.097
O82 O 0.592 0.938 0.422
O83 O 0.593 0.270 0.758
O84 O 0.594 0.395 0.699
O85 O 0.620 0.255 0.078
O86 O 0.620 0.585 0.417
O87 O 0.621 0.424 0.103
O88 O 0.621 0.925 0.744
O89 O 0.622 0.761 0.423
O90 O 0.626 0.082 0.758
O91 O 0.628 0.748 0.138
O92 O 0.631 0.593 0.694
O93 O 0.634 0.079 0.469
O94 O 0.634 0.412 0.804
O95 O 0.635 0.919 0.028
O96 O 0.644 0.261 0.360
O97 O 0.685 0.157 0.260
O98 O 0.686 0.829 0.924
O99 O 0.687 0.497 0.591
O100 O 0.691 0.822 0.642
O101 O 0.695 0.159 0.975
O102 O 0.699 0.851 0.246
O103 O 0.700 0.859 0.528
O104 O 0.701 0.183 0.858
O105 O 0.703 0.181 0.577
O106 O 0.703 0.518 0.911
O107 O 0.708 0.515 0.200
O108 O 0.716 0.484 0.305
O109 O 0.809 0.983 0.805
O110 O 0.818 0.015 0.700
O111 O 0.820 0.683 0.080
O112 O 0.824 0.017 0.409
O113 O 0.824 0.684 0.358
O114 O 0.827 0.348 0.746
O115 O 0.828 0.359 0.028
O116 O 0.833 0.322 0.142
O117 O 0.833 0.660 0.475
O118 O 0.834 0.665 0.760
O119 O 0.835 0.996 0.090
O120 O 0.842 0.329 0.425
O121 O 0.886 0.421 0.527
O122 O 0.891 0.247 0.637
O123 O 0.892 0.758 0.860
O124 O 0.895 0.580 0.971
O125 O 0.895 0.914 0.304
O126 O 0.900 0.092 0.195
O127 O 0.900 0.582 0.258
O128 O 0.904 0.260 0.923
O129 O 0.904 0.425 0.244
O130 O 0.904 0.755 0.577
O131 O 0.905 0.924 0.602
O132 O 0.906 0.084 0.917
O133 O 0.932 0.771 0.258
O134 O 0.933 0.104 0.596
O135 O 0.936 0.439 0.923
O136 O 0.936 0.896 0.199
O137 O 0.938 0.565 0.866
O138 O 0.939 0.765 0.975
O139 O 0.940 0.430 0.642
O140 O 0.942 0.225 0.533
O141 O 0.944 0.098 0.309
O142 O 0.948 0.244 0.245
O143 O 0.954 0.574 0.573
O144 O 0.957 0.910 0.913
# E in eV/atom: -7.1231
# E (MP2020) in eV per formula unit: -531.60